## CsGdO2 (r2SCAN)

Data for an optimized crystal structure of CsGdO2.

Cell: 3.5910 3.5910 13.6986 Å, 90.00 90.00 120.00°
Last column: nearest neighbours and their distance in Å.
Atoms (fractional coordinates):
Cs: 0.3333 0.6667 0.2500  6 O 3.08
Cs: 0.6667 0.3333 0.7500  6 O 3.08
Gd: 0.0000 0.0000 0.0000  6 O 2.37
Gd: 0.0000 0.0000 0.5000  6 O 2.37
O: 0.3333 0.6667 0.5834  3 Gd 2.37
O: 0.3333 0.6667 0.9166  3 Gd 2.37
O: 0.6667 0.3333 0.0834  3 Gd 2.37
O: 0.6667 0.3333 0.4166  3 Gd 2.37

Output
- space-group type = P6_3/mmc
- magnetization (μB per formula unit) = 7.00
- energy relative to the elements (eV/atom) = -2.824